The following is a DFT calculation (PBE) of an optimized crystal structure of Sr2La2MgRuO8.

Unit cell a=3.9302 b=6.9302 c=15.3388 alpha=81.01 beta=82.86 gamma=73.55
Space group P-1 (No. 2)
Inequivalent atoms, fractional coordinates:
1 Sr 0.1489 0.2426 0.4631 (multiplicity 2)
2 Sr 0.1493 0.9971 0.7164 (multiplicity 2)
3 La 0.1478 0.5105 0.2071 (multiplicity 2)
4 La 0.1520 0.7660 0.9620 (multiplicity 2)
5 Mg 0.4981 0.8772 0.1252 (multiplicity 2)
6 Ru 0.4999 0.3773 0.6246 (multiplicity 2)
7 O 0.0017 0.6212 0.3734 (multiplicity 2)
8 O 0.0049 0.8650 0.1235 (multiplicity 2)
9 O 0.3346 0.1918 0.1605 (multiplicity 2)
10 O 0.3377 0.4460 0.9141 (multiplicity 2)
11 O 0.3401 0.9116 0.4140 (multiplicity 2)
12 O 0.3430 0.6607 0.6699 (multiplicity 2)
13 O 0.4941 0.2603 0.7499 (multiplicity 2)
14 O 0.5000 0.0000 0.0000 (multiplicity 1)
15 O 0.5000 0.5000 0.5000 (multiplicity 1)

Computed properties:
E in eV per formula unit: -100.553
Size of the total moment in μB per atom: 0.14